A plane-wave DFT calculation with PBE was carried out for a relaxed Li22Sn5 crystal.

The structure in POSCAR format:
```
Li22Sn5
1.0
0.000 9.863 9.863
9.863 0.000 9.863
9.863 9.863 0.000
Li Sn
88 20
direct
0.000 0.000 0.000
0.003 0.003 0.326
0.003 0.003 0.668
0.003 0.326 0.003
0.003 0.326 0.668
0.003 0.668 0.003
0.003 0.668 0.326
0.030 0.323 0.323
0.063 0.423 0.757
0.063 0.757 0.423
0.063 0.757 0.757
0.075 0.075 0.075
0.075 0.075 0.774
0.075 0.774 0.075
0.078 0.078 0.422
0.078 0.422 0.078
0.078 0.422 0.422
0.169 0.169 0.831
0.169 0.831 0.169
0.169 0.831 0.831
0.178 0.505 0.505
0.178 0.505 0.813
0.178 0.813 0.505
0.250 0.250 0.250
0.255 0.255 0.571
0.255 0.255 0.919
0.255 0.571 0.255
0.255 0.571 0.919
0.255 0.919 0.255
0.255 0.919 0.571
0.269 0.577 0.577
0.323 0.030 0.323
0.323 0.323 0.030
0.323 0.323 0.323
0.326 0.003 0.003
0.326 0.003 0.668
0.326 0.668 0.003
0.418 0.418 0.418
0.418 0.418 0.746
0.418 0.746 0.418
0.422 0.078 0.078
0.422 0.078 0.422
0.422 0.422 0.078
0.423 0.063 0.757
0.423 0.757 0.063
0.423 0.757 0.757
0.500 0.500 0.500
0.504 0.832 0.832
0.505 0.178 0.505
0.505 0.178 0.813
0.505 0.505 0.178
0.505 0.505 0.813
0.505 0.813 0.178
0.505 0.813 0.505
0.571 0.255 0.255
0.571 0.255 0.919
0.571 0.919 0.255
0.577 0.269 0.577
0.577 0.577 0.269
0.577 0.577 0.577
0.668 0.003 0.003
0.668 0.003 0.326
0.668 0.326 0.003
0.673 0.673 0.673
0.673 0.673 0.982
0.673 0.982 0.673
0.746 0.418 0.418
0.750 0.750 0.750
0.757 0.063 0.423
0.757 0.063 0.757
0.757 0.423 0.063
0.757 0.423 0.757
0.757 0.757 0.063
0.757 0.757 0.423
0.774 0.075 0.075
0.813 0.178 0.505
0.813 0.505 0.178
0.813 0.505 0.505
0.831 0.169 0.169
0.831 0.169 0.831
0.831 0.831 0.169
0.832 0.504 0.832
0.832 0.832 0.504
0.832 0.832 0.832
0.919 0.255 0.255
0.919 0.255 0.571
0.919 0.571 0.255
0.982 0.673 0.673
0.162 0.162 0.162
0.162 0.162 0.515
0.162 0.515 0.162
0.250 0.917 0.917
0.324 0.324 0.676
0.324 0.676 0.324
0.324 0.676 0.676
0.515 0.162 0.162
0.575 0.575 0.925
0.575 0.925 0.575
0.575 0.925 0.925
0.676 0.324 0.324
0.676 0.324 0.676
0.676 0.676 0.324
0.917 0.250 0.917
0.917 0.917 0.250
0.917 0.917 0.917
0.925 0.575 0.575
0.925 0.575 0.925
0.925 0.925 0.575
```

## Properties
V, Å³/f.u.: 479.7
Total energy, eV per atom: -2.629